Density functional theory data (r2SCAN) for an optimized crystal structure of ScCu3S3.

Calculated values
Its crystal system is trigonal. The total magnetization comes out at 0.0 μB per formula unit. The calculation puts the formation energy at -89 kJ/mol of atoms. The uncorrected energy is -10.646 eV per atom.

Structure (CIF):
```
data_ScCu3S3
_chemical_formula_sum 'Sc6 Cu18 S18'
_cell_length_a 6.5364
_cell_length_b 6.5364
_cell_length_c 18.4455
_cell_angle_alpha 90.00
_cell_angle_beta 90.00
_cell_angle_gamma 120.00
_symmetry_space_group_name_H-M 'R -3'
_symmetry_Int_Tables_number 148
_symmetry_space_group_name_Hall '-R 3'
loop_
_atom_site_label
_atom_site_type_symbol
_atom_site_fract_x
_atom_site_fract_y
_atom_site_fract_z
Sc1 Sc 0.0000 0.0000 0.1665
Cu1 Cu 0.9999 0.3363 0.3766
S1 S 0.0014 0.6634 0.4202
```

Density functional theory data (r2SCAN) for an optimized crystal structure of Cu5Si2S7.

Calculated values
Its crystal system is monoclinic. The total magnetization comes out at 0.0 μB per formula unit. The calculation puts the formation energy at -51 kJ/mol of atoms. The uncorrected energy is -9.677 eV per atom.

Structure (CIF):
```
data_Cu5Si2S7
_chemical_formula_sum 'Cu20 Si8 S28'
_cell_length_a 16.2275
_cell_length_b 6.3010
_cell_length_c 9.5460
_cell_angle_alpha 90.00
_cell_angle_beta 92.21
_cell_angle_gamma 90.00
_symmetry_space_group_name_H-M 'C 1 c 1'
_symmetry_Int_Tables_number 9
loop_
_symmetry_equiv_pos_as_xyz
'x,y,z'
'x,-y,z+1/2'
'x+1/2,y+1/2,z'
'x+1/2,-y+1/2,z+1/2'
loop_
_atom_site_label
_atom_site_type_symbol
_atom_site_fract_x
_atom_site_fract_y
_atom_site_fract_z
Cu1 Cu 0.0000 0.1461 0.0000
Cu2 Cu 0.0687 0.3260 0.3530
Cu3 Cu 0.2153 0.3352 0.0722
Cu4 Cu 0.2847 0.1771 0.4360
Cu5 Cu 0.4294 0.1723 0.1477
Si1 Si 0.1398 0.1712 0.7074
Si2 Si 0.3558 0.3350 0.7753
S1 S 0.0396 0.3263 0.8021
S2 S 0.1081 0.1490 0.1590
S3 S 0.1713 0.3306 0.5216
S4 S 0.2479 0.1689 0.8626
S5 S 0.3198 0.3450 0.2350
S6 S 0.3917 0.1686 0.5934
S7 S 0.4519 0.3198 0.9338
```

Density functional theory data (r2SCAN) for an optimized crystal structure of SmCuS2.

Calculated values
Its crystal system is monoclinic. The total magnetization comes out at 0.0 μB per formula unit. The calculation puts the formation energy at -155 kJ/mol of atoms. The uncorrected energy is -15.766 eV per atom.

Structure (CIF):
```
data_SmCuS2
_chemical_formula_sum 'Sm4 Cu4 S8'
_cell_length_a 6.4447
_cell_length_b 7.1039
_cell_length_c 6.8151
_cell_angle_alpha 90.00
_cell_angle_beta 97.54
_cell_angle_gamma 90.00
_symmetry_space_group_name_H-M 'P 1 21/c 1'
_symmetry_Int_Tables_number 14
loop_
_symmetry_equiv_pos_as_xyz
'x,y,z'
'-x,-y,-z'
'-x,y+1/2,-z+1/2'
'x,-y+1/2,z+1/2'
loop_
_atom_site_label
_atom_site_type_symbol
_atom_site_fract_x
_atom_site_fract_y
_atom_site_fract_z
Sm1 Sm 0.1911 0.0502 0.3008
Cu1 Cu 0.4236 0.6610 0.4492
S1 S 0.0828 0.7260 0.4980
S2 S 0.4110 0.1146 0.7226
```

Density functional theory data (r2SCAN) for an optimized crystal structure of YbSm2CuS5.

Calculated values
Its crystal system is orthorhombic. The total magnetization comes out at 0.0 μB per formula unit. The calculation puts the formation energy at -197 kJ/mol of atoms. The uncorrected energy is -18.378 eV per atom.

Structure (CIF):
```
data_YbSm2CuS5
_chemical_formula_sum 'Yb4 Sm8 Cu4 S20'
_cell_length_a 11.6418
_cell_length_b 3.8497
_cell_length_c 16.6681
_cell_angle_alpha 90.00
_cell_angle_beta 90.00
_cell_angle_gamma 90.00
_symmetry_space_group_name_H-M 'P n m a'
_symmetry_Int_Tables_number 62
loop_
_symmetry_equiv_pos_as_xyz
'x,y,z'
'-x,-y,-z'
'-x+1/2,-y,z+1/2'
'x+1/2,y,-z+1/2'
'x+1/2,-y+1/2,-z+1/2'
'-x+1/2,y+1/2,z+1/2'
'-x,y+1/2,-z'
'x,-y+1/2,z'
loop_
_atom_site_label
_atom_site_type_symbol
_atom_site_fract_x
_atom_site_fract_y
_atom_site_fract_z
Yb1 Yb 0.1964 0.2500 0.1339
Sm1 Sm 0.0337 0.7500 0.3214
Sm2 Sm 0.1302 0.2500 0.8989
Cu1 Cu 0.0824 0.2500 0.5052
S1 S 0.0111 0.7500 0.8021
S2 S 0.0896 0.7500 0.5811
S3 S 0.1122 0.7500 0.0331
S4 S 0.1888 0.2500 0.3910
S5 S 0.2423 0.2500 0.7312
```

Density functional theory data (r2SCAN) for an optimized crystal structure of Cu2SnS3.

Calculated values
Its crystal system is orthorhombic. The total magnetization comes out at 0.0 μB per formula unit. The calculation puts the formation energy at -40 kJ/mol of atoms. The uncorrected energy is -12.167 eV per atom.

Structure (CIF):
```
data_Cu2SnS3
_chemical_formula_sum 'Cu4 Sn2 S6'
_cell_length_a 3.8727
_cell_length_b 11.4902
_cell_length_c 5.3801
_cell_angle_alpha 90.00
_cell_angle_beta 90.00
_cell_angle_gamma 90.00
_symmetry_space_group_name_H-M 'I m m 2'
_symmetry_Int_Tables_number 44
loop_
_symmetry_equiv_pos_as_xyz
'x,y,z'
'-x,-y,z'
'-x,y,z'
'x,-y,z'
'x+1/2,y+1/2,z+1/2'
'-x+1/2,-y+1/2,z+1/2'
'-x+1/2,y+1/2,z+1/2'
'x+1/2,-y+1/2,z+1/2'
loop_
_atom_site_label
_atom_site_type_symbol
_atom_site_fract_x
_atom_site_fract_y
_atom_site_fract_z
Cu1 Cu 0.0000 0.1709 0.0000
Sn1 Sn 0.0000 0.5000 0.9710
S1 S 0.0000 0.0000 0.7686
S2 S 0.0000 0.3238 0.7274
```

Density functional theory data (r2SCAN) for an optimized crystal structure of Cu2SnS3.

Calculated values
Its crystal system is monoclinic. The total magnetization comes out at 0.0 μB per formula unit. The calculation puts the formation energy at -40 kJ/mol of atoms. The uncorrected energy is -12.167 eV per atom.

Structure (CIF):
```
data_Cu2SnS3
_chemical_formula_sum 'Cu8 Sn4 S12'
_cell_length_a 6.6434
_cell_length_b 11.5005
_cell_length_c 6.6642
_cell_angle_alpha 90.00
_cell_angle_beta 109.69
_cell_angle_gamma 90.00
_symmetry_space_group_name_H-M 'C 1 c 1'
_symmetry_Int_Tables_number 9
loop_
_symmetry_equiv_pos_as_xyz
'x,y,z'
'x,-y,z+1/2'
'x+1/2,y+1/2,z'
'x+1/2,-y+1/2,z+1/2'
loop_
_atom_site_label
_atom_site_type_symbol
_atom_site_fract_x
_atom_site_fract_y
_atom_site_fract_z
Cu1 Cu 0.0000 0.0822 0.0000
Cu2 Cu 0.4903 0.2527 0.0007
Sn1 Sn 0.4795 0.0927 0.4849
S1 S 0.0946 0.0844 0.3659
S2 S 0.1246 0.2396 0.8660
S3 S 0.1294 0.4093 0.3849
```

formation energy of number 4 (YbSm2CuS5)?
-197 kJ/mol of atoms

What is the formation energy in the second record?
-51 kJ/mol of atoms

Which value of formation energy does entry 6 give?
-40 kJ/mol of atoms

formation energy of number 1 (ScCu3S3)?
-89 kJ/mol of atoms